Entry 1:
An optimized crystal structure of ErCu2. Source: the Materials Project database, functional r2SCAN.

abc: 5.3442 5.3442 5.3442
angles: 133.10 103.00 95.27
Closest atoms and distances in Å follow each position.
Sites, in units of the cell vectors:
Er 0.2961 0.0461 0.2500  12 Cu 2.90-3.05
Er 0.7039 0.9539 0.7500  12 Cu 2.90-3.05
Cu 0.1107 0.6639 0.4468  4 Cu 2.46-2.62
Cu 0.2829 0.3361 0.9468  4 Cu 2.46-2.62
Cu 0.7171 0.6639 0.0532  4 Cu 2.46-2.62
Cu 0.8893 0.3361 0.5532  4 Cu 2.46-2.62

**Formation enthalpy at 0 K**: -0.284 eV/atom
**Crystal system**: orthorhombic
**SG**: Imma
**Uncorrected energy**: -18.824 eV/atom

***

Entry 2:
An optimized crystal structure of UCoCuGe2. Source: the Materials Project database, functional r2SCAN.

abc: 5.7387 5.7387 5.7387
angles: 138.02 138.02 60.87
Closest atoms and distances in Å follow each position.
Sites, in units of the cell vectors:
U 0.0000 0.0000 0.0000  8 Ge 3.16, 4 Co 3.22, 4 Cu 3.22
Co 0.2500 0.7500 0.5000  4 Ge 2.40
Cu 0.7500 0.2500 0.5000  4 Ge 2.40
Ge 0.3753 0.3753 0.0000  2 Co 2.40, 2 Cu 2.40, 1 Ge 2.47
Ge 0.6247 0.6247 0.0000  2 Co 2.40, 2 Cu 2.40, 1 Ge 2.47

**Formation enthalpy at 0 K**: -0.331 eV/atom
**Crystal system**: tetragonal
**SG**: I-4m2
**Uncorrected energy**: -26.684 eV/atom

***

Entry 3:
An optimized crystal structure of AlV2C. Source: the Materials Project database, functional r2SCAN.

abc: 2.8876 2.8876 13.1048
angles: 90.00 90.00 120.00
Closest atoms and distances in Å follow each position.
Sites, in units of the cell vectors:
Al 0.3333 0.6667 0.2500  6 V 2.72, 6 Al 2.89
Al 0.6667 0.3333 0.7500  6 V 2.72, 6 Al 2.89
V 0.3333 0.6667 0.5864  3 C 2.02
V 0.3333 0.6667 0.9136  3 C 2.02
V 0.6667 0.3333 0.0864  3 C 2.02
V 0.6667 0.3333 0.4136  3 C 2.02
C 0.0000 0.0000 0.0000  6 V 2.02
C 0.0000 0.0000 0.5000  6 V 2.02

**Formation enthalpy at 0 K**: -0.574 eV/atom
**Crystal system**: hexagonal
**SG**: P6_3/mmc
**Uncorrected energy**: -11.789 eV/atom

***

Among the records above, which one has the lowest uncorrected energy?
UCoCuGe2